Here is crystalline HfU3Sb5 at its relaxed geometry from the Materials Project. Energies are from r2SCAN.

Summary:
E_form: -0.705 eV/atom

Cell: 9.325 9.325 6.257 Å, 89.58 90.21 120.00°
Fractional coordinates of all 18 atoms:
Hf1 0.000 0.000 0.500
Hf2 0.000 0.000 0.000
U1 0.386 0.000 0.745
U2 0.387 0.386 0.254
U3 0.000 0.614 0.245
U4 0.000 0.386 0.755
U5 0.613 0.614 0.746
U6 0.614 0.000 0.255
Sb1 0.332 0.666 0.500
Sb2 0.666 0.333 0.000
Sb3 0.668 0.334 0.500
Sb4 0.334 0.667 0.000
Sb5 0.734 0.000 0.749
Sb6 0.734 0.734 0.251
Sb7 0.000 0.266 0.248
Sb8 0.000 0.734 0.752
Sb9 0.266 0.000 0.251
Sb10 0.266 0.266 0.749